This record from Materials Project describes an optimized crystal structure of Na8Y2Hf2Si5SO24. The functional is PBE.

Properties
symmetry = P1 (1)
theoretical density = 3.64 g cm⁻³
calculated formation energy = -3026 meV/atom
crystal system = triclinic
total moment = 0.0000 μB/atom

Lattice parameters (Å, degrees): 9.3525 9.3572 22.9996 90.12 90.09 119.95
With the nearest neighbours (Å) after each atom.
Positions (direct):
1 Na 0.0000 0.0000 0.0000  5 O 2.52-2.71
2 Na 0.0001 0.6492 0.7565  5 O 2.52-2.65
3 Na 0.0071 0.2827 0.5013  5 O 2.51-2.80
4 Na 0.0176 0.9666 0.3435  3 O 2.45-2.61
5 Na 0.0383 0.3366 0.8427  5 O 2.50-2.70
6 Na 0.2939 0.5895 0.3421  5 O 2.44-2.64
7 Na 0.2985 0.9726 0.8379  5 O 2.50-2.71
8 Na 0.3319 0.3148 0.4221  5 O 2.48-2.71
9 Na 0.3328 0.3014 0.9186  6 O 2.56-2.66
10 Na 0.3411 0.6809 0.6656  4 O 2.40-2.61
11 Na 0.3437 0.9314 0.1604  5 O 2.47-2.66
12 Na 0.3614 0.9921 0.5072  4 O 2.49-2.75
13 Na 0.3663 0.6441 0.0031  5 O 2.53-2.75
14 Na 0.6424 0.6373 0.5040  6 O 2.55-2.84
15 Na 0.6432 0.2701 0.0031  5 O 2.50-2.77
16 Na 0.6568 0.9694 0.0846  6 O 2.50-2.80
17 Na 0.6575 0.9624 0.5866  6 O 2.57-2.76
18 Na 0.6660 0.6001 0.8374  5 O 2.50-2.69
19 Na 0.6839 0.3539 0.3350  6 O 2.51-2.75
20 Na 0.6905 0.3091 0.6703  5 O 2.51-2.80
21 Na 0.6900 0.6556 0.1698  5 O 2.48-2.75
22 Na 0.9663 0.3197 0.1723  6 O 2.50-2.70
23 Na 0.9706 0.9242 0.6730  5 O 2.45-2.74
24 Na 0.9864 0.6115 0.2538  4 O 2.47-2.60
25 Y 0.9997 0.6300 0.0995  5 O 2.13-2.28
26 Y 0.0010 0.6415 0.6001  5 O 2.14-2.27
27 Y 0.3412 0.3194 0.2725  5 O 2.10-2.33
28 Y 0.3421 0.3016 0.7750  6 O 2.16-2.34
29 Y 0.6702 0.9714 0.2351  6 O 2.15-2.36
30 Y 0.9964 0.6323 0.4090  5 O 2.15-2.26
31 Hf 0.0021 0.6375 0.9032  6 O 2.06-2.15
32 Hf 0.3491 0.3070 0.5694  5 O 1.99-2.09
33 Hf 0.3489 0.3161 0.0646  5 O 2.01-2.12
34 Hf 0.6574 0.9615 0.7396  5 O 1.97-2.14
35 Hf 0.6678 0.9698 0.9384  6 O 2.02-2.12
36 Hf 0.6783 0.9693 0.4405  5 O 2.00-2.10
37 Si 0.0020 0.3359 0.0027  4 O 1.62-1.66
38 Si 0.0072 0.9470 0.5043  4 O 1.62-1.66
39 Si 0.3004 0.9370 0.0038  4 O 1.62-1.66
40 Si 0.3088 0.6368 0.5045  4 O 1.62-1.65
41 Si 0.3328 0.6015 0.1690  4 O 1.64-1.67
42 Si 0.3385 0.0051 0.6717  4 O 1.62-1.67
43 Si 0.3699 0.6789 0.8396  4 O 1.62-1.67
44 Si 0.6308 0.3036 0.1702  4 O 1.63-1.67
45 Si 0.6342 0.6065 0.6723  4 O 1.62-1.67
46 Si 0.6724 0.6756 0.3376  4 O 1.63-1.66
47 Si 0.6765 0.2646 0.8384  4 O 1.63-1.66
48 Si 0.6972 0.3289 0.5049  4 O 1.62-1.66
49 Si 0.7071 0.6419 0.0034  4 O 1.62-1.67
50 Si 0.9559 0.9650 0.8383  4 O 1.63-1.67
51 Si 0.9657 0.2676 0.3379  4 O 1.63-1.66
52 S 0.0377 0.2988 0.6706  4 O 1.48-1.49
53 S 0.0464 0.0139 0.1690  4 O 1.48-1.49
54 S 0.3742 0.9688 0.3391  4 O 1.48
55 O 0.0179 0.4464 0.6657  1 S 1.49
56 O 0.0266 0.8467 0.1652  1 S 1.48
57 O 0.0353 0.4640 0.9479  1 Si 1.66
58 O 0.0520 0.8742 0.4473  1 Si 1.63
59 O 0.1228 0.2805 0.6190  1 S 1.49
60 O 0.1319 0.1166 0.1179  1 S 1.48
61 O 0.1372 0.1308 0.8360  1 Si 1.63
62 O 0.1372 0.3236 0.7238  1 S 1.48
63 O 0.1405 0.0879 0.2233  1 S 1.48
64 O 0.1415 0.2671 0.3396  1 Si 1.65
65 O 0.1646 0.1330 0.5159  1 Si 1.64
66 O 0.1687 0.3185 0.0093  1 Si 1.65
67 O 0.1730 0.6286 0.1671  1 Si 1.64
68 O 0.1742 0.8408 0.9486  1 Si 1.66
69 O 0.1817 0.8178 0.6665  1 Si 1.63
70 O 0.1895 0.6693 0.8437  1 Si 1.65
71 O 0.1932 0.5978 0.4472  1 Si 1.63
72 O 0.2091 0.8197 0.3432  1 S 1.48
73 O 0.2302 0.8284 0.0625  1 Si 1.62
74 O 0.2312 0.6756 0.5615  1 Si 1.62
75 O 0.3019 0.0835 0.7289  1 Si 1.62
76 O 0.3029 0.4932 0.2280  1 Si 1.64
77 O 0.3128 0.1193 0.0094  1 Si 1.66
78 O 0.3270 0.4712 0.5135  1 Si 1.65
79 O 0.3469 0.4951 0.8357  1 Si 1.63
80 O 0.3483 0.4954 0.1133  1 Si 1.67
81 O 0.3571 0.1180 0.3361  1 S 1.48
82 O 0.3612 0.1267 0.6155  1 Si 1.67
83 O 0.4500 0.9485 0.2854  1 S 1.48
84 O 0.4605 0.7953 0.7811  1 Si 1.67
85 O 0.4784 0.9884 0.3904  1 S 1.48
86 O 0.4864 0.9619 0.9954  1 Si 1.65
87 O 0.4892 0.7712 0.8950  1 Si 1.62
88 O 0.4928 0.8016 0.4962  1 Si 1.65
89 O 0.5055 0.7796 0.1687  1 Si 1.64
90 O 0.5061 0.4916 0.3401  1 Si 1.65
91 O 0.5097 0.2852 0.1139  1 Si 1.67
92 O 0.5119 0.2834 0.8371  1 Si 1.63
93 O 0.5130 0.3118 0.5131  1 Si 1.66
94 O 0.5125 0.5106 0.6156  1 Si 1.67
95 O 0.5150 0.0013 0.6756  1 Si 1.67
96 O 0.5231 0.4710 0.0081  1 Si 1.67
97 O 0.5450 0.3182 0.2299  1 Si 1.63
98 O 0.5494 0.4971 0.7298  1 Si 1.62
99 O 0.6473 0.1368 0.1680  1 Si 1.64
100 O 0.6499 0.7921 0.6753  1 Si 1.67
101 O 0.6517 0.1477 0.8944  1 Si 1.63
102 O 0.6515 0.7766 0.3933  1 Si 1.66
103 O 0.6659 0.1418 0.4947  1 Si 1.64
104 O 0.6777 0.7991 0.9952  1 Si 1.64
105 O 0.6918 0.7795 0.2785  1 Si 1.63
106 O 0.7006 0.1741 0.7799  1 Si 1.66
107 O 0.7715 0.4493 0.4488  1 Si 1.63
108 O 0.7998 0.6077 0.9485  1 Si 1.65
109 O 0.8110 0.4730 0.1681  1 Si 1.64
110 O 0.8155 0.4022 0.5617  1 Si 1.62
111 O 0.8151 0.6819 0.0624  1 Si 1.62
112 O 0.8161 0.6222 0.6676  1 Si 1.64
113 O 0.8406 0.1508 0.9945  1 Si 1.64
114 O 0.8409 0.6631 0.3410  1 Si 1.64
115 O 0.8408 0.9410 0.7797  1 Si 1.67
116 O 0.8414 0.9665 0.4964  1 Si 1.66
117 O 0.8448 0.4477 0.8435  1 Si 1.65
118 O 0.8582 0.1879 0.2787  1 Si 1.63
119 O 0.8593 0.1504 0.3938  1 Si 1.66
120 O 0.8634 0.9875 0.8947  1 Si 1.63
121 O 0.8737 0.1469 0.6742  1 S 1.48
122 O 0.8808 0.0005 0.1712  1 S 1.49
123 O 0.9597 0.4052 0.0611  1 Si 1.62
124 O 0.9613 0.8257 0.5601  1 Si 1.62
125 O 0.9704 0.7962 0.8433  1 Si 1.66
126 O 0.9929 0.4544 0.3415  1 Si 1.64